# 1
Below is a relaxed structure of HCl, with properties calculated at the r2SCAN level.

Cell lengths 3.9542, 5.2084, 3.9542 Å; angles 90.00, 80.15, 90.00 degrees
Closest atoms and distances in Å follow each position.
Positions (direct):
H (0.9381, 0.6732, 0.0619)  1 Cl 1.30
Cl (0.7580, 0.4968, 0.2420)  1 H 1.30
H (0.0619, 0.1732, 0.9381)  1 Cl 1.30
Cl (0.2420, 0.9968, 0.7580)  1 H 1.30

Summary:
Calculated density   1.51 g/cm3
Energy   -21.34 eV for the cell shown
Space-group type   No. 36

# 2
Below is a relaxed structure of K4CrO4, with properties calculated at the r2SCAN level.

Cell lengths 6.3080, 9.3389, 6.4062 Å; angles 72.37, 66.93, 79.93 degrees
Closest atoms and distances in Å follow each position.
Positions (direct):
O (0.5548, 0.8116, 0.6673)  1 Cr 1.79
O (0.4452, 0.1884, 0.3327)  1 Cr 1.79
K (0.7523, 0.1555, 0.5778)  5 O 2.66-2.86
K (0.7206, 0.5594, 0.4939)  5 O 2.61-2.83
O (0.4379, 0.3407, 0.8640)  1 Cr 1.79
K (0.2794, 0.4406, 0.5061)  5 O 2.61-2.83
K (0.7514, 0.9647, 0.2283)  4 O 2.59-2.65
Cr (0.7326, 0.7521, 0.8423)  4 O 1.78-1.80
K (0.2179, 0.6230, 0.9655)  5 O 2.66-2.89
O (0.5621, 0.6593, 0.1359)  1 Cr 1.79
K (0.2478, 0.8445, 0.4222)  5 O 2.66-2.86
O (0.1129, 0.1006, 0.1711)  1 Cr 1.78
O (0.9556, 0.6243, 0.7074)  1 Cr 1.80
K (0.7820, 0.3770, 0.0346)  5 O 2.66-2.89
K (0.2485, 0.0353, 0.7717)  4 O 2.59-2.65
O (0.8871, 0.8994, 0.8289)  1 Cr 1.78
Cr (0.2674, 0.2479, 0.1577)  4 O 1.78-1.80
O (0.0444, 0.3758, 0.2926)  1 Cr 1.80

Summary:
Calculated density   2.74 g/cm3
Energy   -159.65 eV for the cell shown
Space-group type   No. 2

# 3
Below is a relaxed structure of Lu4Al24Pt9, with properties calculated at the r2SCAN level.

Cell lengths 7.4564, 7.4686, 13.0182 Å; angles 84.59, 79.07, 59.92 degrees
Closest atoms and distances in Å follow each position.
Positions (direct):
Pt (0.5373, 0.1668, 0.3603)  8 Al 2.48-2.74
Pt (0.3436, 0.8282, 0.0002)  8 Al 2.52-2.62
Al (0.8134, 0.5005, 0.5590)  4 Pt 2.54-2.66
Al (0.2181, 0.1655, 0.3274)  3 Pt 2.50-2.54
Al (0.6466, 0.5010, 0.0558)  3 Pt 2.52-2.59, 3 Al 2.72-2.82
Al (0.5200, 0.8334, 0.4408)  4 Pt 2.54-2.66
Al (0.8534, 0.1675, 0.4384)  4 Pt 2.55-2.74, 3 Al 2.82
Pt (0.4627, 0.8332, 0.6397)  8 Al 2.48-2.74
Al (0.8908, 0.8400, 0.3286)  3 Pt 2.50-2.53
Al (0.0157, 0.1681, 0.9524)  3 Pt 2.55-2.62, 5 Al 2.77-2.82
Al (0.7819, 0.8345, 0.6726)  3 Pt 2.50-2.54
Al (0.1456, 0.9575, 0.1834)  2 Pt 2.49-2.54, 4 Al 2.66-2.78
Pt (0.0000, 0.5000, 0.0000)  8 Al 2.55-2.59
Lu (0.3944, 0.1683, 0.8074)  11 Al 3.04-3.17, 3 Pt 3.24-3.29
Lu (0.6056, 0.8317, 0.1926)  11 Al 3.04-3.17, 3 Pt 3.24-3.29
Al (0.0613, 0.6303, 0.8159)  2 Pt 2.48-2.55, 4 Al 2.66-2.73
Al (0.9387, 0.3697, 0.1841)  2 Pt 2.48-2.55, 4 Al 2.66-2.73
Pt (0.7782, 0.1756, 0.6381)  8 Al 2.49-2.74
Al (0.3162, 0.1664, 0.0558)  3 Pt 2.52-2.59, 3 Al 2.73-2.82
Al (0.9843, 0.8319, 0.0476)  3 Pt 2.55-2.62, 5 Al 2.77-2.82
Al (0.5633, 0.4936, 0.3272)  3 Pt 2.50-2.54
Pt (0.6564, 0.1718, 0.9998)  8 Al 2.52-2.62
Lu (0.7339, 0.4990, 0.8074)  11 Al 3.04-3.18, 3 Pt 3.24-3.27
Al (0.2666, 0.8360, 0.8172)  2 Pt 2.48-2.54, 4 Al 2.66-2.77
Al (0.4367, 0.5064, 0.6728)  3 Pt 2.50-2.54
Lu (0.2661, 0.5010, 0.1926)  11 Al 3.04-3.18, 3 Pt 3.24-3.27
Al (0.4800, 0.1666, 0.5592)  4 Pt 2.54-2.66
Pt (0.2218, 0.8244, 0.3619)  8 Al 2.49-2.74
Al (0.1092, 0.1600, 0.6714)  3 Pt 2.50-2.53
Al (0.7334, 0.1640, 0.1828)  2 Pt 2.48-2.54, 4 Al 2.66-2.77
Al (0.6838, 0.8336, 0.9442)  3 Pt 2.52-2.59, 3 Al 2.73-2.82
Al (0.3534, 0.4990, 0.9442)  3 Pt 2.52-2.59, 3 Al 2.72-2.82
Pt (0.8801, 0.5093, 0.3602)  8 Al 2.48-2.74
Al (0.1466, 0.8325, 0.5616)  4 Pt 2.55-2.74, 3 Al 2.82
Pt (0.1199, 0.4907, 0.6398)  8 Al 2.48-2.74
Al (0.1866, 0.4995, 0.4410)  4 Pt 2.54-2.66
Al (0.8544, 0.0425, 0.8166)  2 Pt 2.49-2.54, 4 Al 2.66-2.78

Summary:
Calculated density   8.37 g/cm3
Energy   -813.68 eV for the cell shown
Space-group type   No. 2

# 4
Below is a relaxed structure of ErTl, with properties calculated at the r2SCAN level.

Cell lengths 3.6607, 5.3399, 5.3399 Å; angles 90.00, 90.00, 90.00 degrees
Closest atoms and distances in Å follow each position.
Positions (direct):
Tl (0.5000, 0.0000, 0.5000)  8 Er 3.24
Tl (0.5000, 0.5000, 0.0000)  8 Er 3.24
Er (0.0000, 0.5000, 0.5000)  8 Tl 3.24
Er (0.0000, 0.0000, 0.0000)  8 Tl 3.24

Summary:
Calculated density   11.82 g/cm3
Energy   -175.82 eV for the cell shown

# 5
Below is a relaxed structure of K2Se5, with properties calculated at the r2SCAN level.

Cell lengths 6.7569, 7.0158, 17.9865 Å; angles 90.00, 90.00, 90.00 degrees
Closest atoms and distances in Å follow each position.
Positions (direct):
K (0.6270, 0.9140, 0.0062)  9 Se 3.45-3.75
Se (0.5337, 0.1273, 0.2948)  2 Se 2.38
Se (0.3969, 0.9205, 0.4833)  1 Se 2.34
Se (0.5723, 0.8584, 0.3737)  2 Se 2.34-2.38
Se (0.4277, 0.3584, 0.1263)  2 Se 2.34-2.38
Se (0.2394, 0.1351, 0.6505)  2 Se 2.36-2.38
K (0.1270, 0.5860, 0.9938)  9 Se 3.45-3.75
Se (0.9277, 0.1416, 0.8737)  2 Se 2.34-2.38
K (0.9143, 0.2612, 0.1625)  10 Se 3.33-3.69
K (0.0857, 0.7612, 0.3375)  10 Se 3.33-3.69
Se (0.5697, 0.2412, 0.6621)  1 Se 2.36
Se (0.0697, 0.2588, 0.3379)  1 Se 2.36
Se (0.1031, 0.0795, 0.9833)  1 Se 2.34
Se (0.9663, 0.8727, 0.7948)  2 Se 2.38
Se (0.6031, 0.4205, 0.0167)  1 Se 2.34
Se (0.9303, 0.7588, 0.1621)  1 Se 2.36
K (0.3730, 0.4140, 0.4938)  9 Se 3.45-3.75
K (0.5857, 0.7388, 0.6625)  10 Se 3.33-3.69
Se (0.7394, 0.3649, 0.3495)  2 Se 2.36-2.38
Se (0.2606, 0.8649, 0.1505)  2 Se 2.36-2.38
Se (0.4663, 0.6273, 0.2052)  2 Se 2.38
K (0.4143, 0.2388, 0.8375)  10 Se 3.33-3.69
Se (0.7606, 0.6351, 0.8495)  2 Se 2.36-2.38
Se (0.8969, 0.5795, 0.5167)  1 Se 2.34
Se (0.4303, 0.7412, 0.8379)  1 Se 2.36
Se (0.0723, 0.6416, 0.6263)  2 Se 2.34-2.38
Se (0.0337, 0.3727, 0.7052)  2 Se 2.38
K (0.8730, 0.0860, 0.5062)  9 Se 3.45-3.75

Summary:
Calculated density   3.68 g/cm3
Energy   -353.54 eV for the cell shown
Space-group type   No. 19

# 6
Below is a relaxed structure of Ba2TlF7, with properties calculated at the r2SCAN level.

Cell lengths 5.7442, 8.8398, 13.1020 Å; angles 90.00, 90.00, 89.43 degrees
Closest atoms and distances in Å follow each position.
Positions (direct):
Ba (0.2594, 0.9456, 0.7207)  9 F 2.62-2.81
Tl (0.7772, 0.7121, 0.8761)  7 F 2.20-2.26
Ba (0.7426, 0.1751, 0.9375)  9 F 2.61-2.80
F (0.8756, 0.3735, 0.0728)  1 Tl 2.23
F (0.5195, 0.1940, 0.7530)  1 Tl 2.25
F (0.7127, 0.2197, 0.4578)  1 Tl 2.21
F (0.0062, 0.3012, 0.2670)  1 Tl 2.25
F (0.5195, 0.6940, 0.7470)  1 Tl 2.25
F (0.0065, 0.0783, 0.1047)  1 Tl 2.26
Ba (0.2574, 0.3249, 0.4375)  9 F 2.61-2.80
F (0.1244, 0.6265, 0.9272)  1 Tl 2.23
Ba (0.7406, 0.5544, 0.2207)  9 F 2.62-2.81
F (0.7117, 0.9685, 0.6413)  1 Tl 2.20
Ba (0.7426, 0.6751, 0.5625)  9 F 2.61-2.80
F (0.9938, 0.6988, 0.7330)  1 Tl 2.25
F (0.7127, 0.7197, 0.0422)  1 Tl 2.21
Tl (0.2228, 0.7879, 0.3761)  7 F 2.20-2.26
F (0.7117, 0.4685, 0.8587)  1 Tl 2.20
Ba (0.2594, 0.4456, 0.7793)  9 F 2.62-2.81
F (0.5190, 0.4048, 0.6042)  1 Tl 2.26
F (0.9938, 0.1988, 0.7670)  1 Tl 2.25
F (0.2873, 0.7803, 0.5422)  1 Tl 2.21
F (0.9935, 0.9217, 0.8953)  1 Tl 2.26
F (0.4810, 0.0952, 0.1042)  1 Tl 2.26
Tl (0.7772, 0.2121, 0.6239)  7 F 2.20-2.26
F (0.0065, 0.5783, 0.3953)  1 Tl 2.26
F (0.2873, 0.2803, 0.9578)  1 Tl 2.21
F (0.0062, 0.8012, 0.2330)  1 Tl 2.25
F (0.4805, 0.8060, 0.2470)  1 Tl 2.25
F (0.2883, 0.0315, 0.3587)  1 Tl 2.20
F (0.1244, 0.1265, 0.5728)  1 Tl 2.23
Ba (0.2574, 0.8249, 0.0625)  9 F 2.61-2.80
Ba (0.7406, 0.0544, 0.2793)  9 F 2.62-2.81
Tl (0.2228, 0.2879, 0.1239)  7 F 2.20-2.26
F (0.5190, 0.9048, 0.8958)  1 Tl 2.26
F (0.4805, 0.3060, 0.2530)  1 Tl 2.25
F (0.2883, 0.5315, 0.1413)  1 Tl 2.20
F (0.9935, 0.4217, 0.6047)  1 Tl 2.26
F (0.8756, 0.8735, 0.4272)  1 Tl 2.23
F (0.4810, 0.5952, 0.3958)  1 Tl 2.26

Summary:
Calculated density   6.11 g/cm3
Energy   -645.01 eV for the cell shown
Space-group type   No. 14

# 7
Below is a relaxed structure of CoAsS, with properties calculated at the r2SCAN level.

Cell lengths 5.5580, 5.5635, 5.5536 Å; angles 90.00, 90.00, 90.00 degrees
Closest atoms and distances in Å follow each position.
Positions (direct):
Co (0.0054, 0.2407, 0.0018)  3 S 2.27-2.29, 3 As 2.35
S (0.3827, 0.1307, 0.1211)  3 Co 2.27-2.29, 1 As 2.29
S (0.6173, 0.8693, 0.6211)  3 Co 2.27-2.29, 1 As 2.29
Co (0.9946, 0.7593, 0.5018)  3 S 2.27-2.29, 3 As 2.35
S (0.8827, 0.8693, 0.1211)  3 Co 2.27-2.29, 1 As 2.29
As (0.3799, 0.6305, 0.3841)  1 S 2.29, 3 Co 2.35
Co (0.4946, 0.2407, 0.5018)  3 S 2.27-2.29, 3 As 2.35
As (0.1201, 0.6305, 0.8841)  1 S 2.29, 3 Co 2.35
S (0.1173, 0.1307, 0.6211)  3 Co 2.27-2.29, 1 As 2.29
Co (0.5054, 0.7593, 0.0018)  3 S 2.27-2.29, 3 As 2.35
As (0.8799, 0.3695, 0.3841)  1 S 2.29, 3 Co 2.35
As (0.6201, 0.3695, 0.8841)  1 S 2.29, 3 Co 2.35

Summary:
Calculated density   6.42 g/cm3
Energy above the lowest structure with this stoichiometry   7 meV per atom
Space-group type   No. 29

# 8
Below is a relaxed structure of Lu6AgTe2, with properties calculated at the r2SCAN level.

Cell lengths 4.0045, 11.2778, 21.1638 Å; angles 90.00, 90.00, 90.00 degrees
Closest atoms and distances in Å follow each position.
Positions (direct):
Lu (0.7500, 0.1103, 0.4928)  1 Te 3.09, 4 Lu 3.21-3.26, 1 Ag 3.39
Te (0.2500, 0.7322, 0.6265)  7 Lu 3.01-3.15
Lu (0.2500, 0.4706, 0.6598)  2 Ag 2.91, 3 Te 3.03-3.09
Te (0.2500, 0.0422, 0.7359)  8 Lu 3.09-3.27
Lu (0.7500, 0.6227, 0.5273)  3 Ag 2.98-3.07, 2 Te 3.15
Lu (0.7500, 0.5616, 0.1397)  4 Te 3.08-3.09
Lu (0.2500, 0.8897, 0.5072)  1 Te 3.09, 4 Lu 3.21-3.26, 1 Ag 3.39
Ag (0.2500, 0.6334, 0.4235)  7 Lu 2.91-3.07
Lu (0.7500, 0.2414, 0.2318)  4 Te 3.01-3.27
Te (0.2500, 0.7677, 0.1266)  7 Lu 3.01-3.15
Lu (0.2500, 0.4385, 0.8603)  4 Te 3.08-3.09
Lu (0.7500, 0.8772, 0.0274)  3 Ag 2.98-3.07, 2 Te 3.15
Lu (0.7500, 0.2586, 0.7318)  4 Te 3.01-3.27
Lu (0.2500, 0.6103, 0.0072)  1 Te 3.09, 4 Lu 3.21-3.27, 1 Ag 3.39
Te (0.2499, 0.4578, 0.2359)  8 Lu 3.09-3.27
Lu (0.7500, 0.9706, 0.8401)  2 Ag 2.91, 3 Te 3.03-3.09
Lu (0.2500, 0.3773, 0.4727)  3 Ag 2.98-3.07, 2 Te 3.15
Lu (0.2500, 0.0616, 0.3604)  4 Te 3.08-3.09
Lu (0.2500, 0.0294, 0.1599)  2 Ag 2.91, 3 Te 3.03-3.09
Lu (0.7500, 0.3897, 0.9928)  1 Te 3.09, 4 Lu 3.21-3.27, 1 Ag 3.39
Te (0.7500, 0.9578, 0.2641)  8 Lu 3.09-3.27
Lu (0.7500, 0.8147, 0.3921)  2 Ag 2.94, 1 Te 3.15, 2 Lu 3.26
Te (0.7500, 0.2678, 0.3735)  7 Lu 3.01-3.15
Lu (0.2500, 0.1853, 0.6079)  2 Ag 2.94, 1 Te 3.15, 2 Lu 3.26
Lu (0.7500, 0.5294, 0.3402)  2 Ag 2.91, 3 Te 3.03-3.09
Lu (0.2500, 0.3147, 0.1079)  2 Ag 2.94, 1 Te 3.15, 2 Lu 3.27
Lu (0.2500, 0.7586, 0.7682)  4 Te 3.01-3.27
Lu (0.2500, 0.7413, 0.2682)  4 Te 3.01-3.27
Ag (0.2500, 0.8666, 0.9234)  7 Lu 2.91-3.07
Lu (0.7500, 0.6853, 0.8921)  2 Ag 2.94, 1 Te 3.15, 2 Lu 3.27
Lu (0.2500, 0.1228, 0.9727)  3 Ag 2.98-3.07, 2 Te 3.15
Ag (0.7500, 0.1334, 0.0766)  7 Lu 2.91-3.07
Te (0.7500, 0.2322, 0.8734)  7 Lu 3.01-3.15
Lu (0.7500, 0.9384, 0.6396)  4 Te 3.08-3.09
Ag (0.7500, 0.3665, 0.5765)  7 Lu 2.91-3.07
Te (0.7501, 0.5422, 0.7641)  8 Lu 3.09-3.27

Summary:
Calculated density   9.82 g/cm3
Energy   -1228.57 eV for the cell shown
Space-group type   No. 62